Entry 1:
A geometry-optimized AlH15O6F6 structure, computed with PBE.

Unit cell a=8.1836 b=8.1944 c=8.1979 alpha=74.31 beta=74.77 gamma=75.24
Last column: nearest neighbours and their distance in Å.
Fractional positions:
1 H 0.1867 0.2898 0.9495  1 O 1.01
2 H 0.5461 0.2045 0.3112  1 O 0.99
3 H 0.8133 0.7102 0.0505  1 O 1.01
4 H 0.2881 0.9482 0.1887  1 O 1.01
5 H 0.5909 0.9319 0.7455  1 O 1.14
6 H 0.2545 0.4082 0.0690  1 O 1.13
7 H 0.7119 0.0518 0.8113  1 O 1.01
8 F 0.0335 0.2241 0.9254  2 H 1.56-1.68
9 O 0.5163 0.1730 0.2155  2 H 0.99
10 H 0.7885 0.6873 0.4502  1 O 1.01
11 F 0.7240 0.5340 0.4264  2 H 1.56-1.69
12 H 0.8605 0.8737 0.3681  1 O 1.01
13 F 0.5273 0.4246 0.7252  2 H 1.57-1.66
14 F 0.9217 0.0283 0.2239  2 H 1.57-1.67
15 H 0.9082 0.7545 0.5685  1 O 1.13
16 F 0.7773 0.0764 0.9651  2 H 1.57-1.68
17 H 0.3730 0.3614 0.8691  1 O 1.01
18 H 0.6231 0.1371 0.1312  1 O 0.99
19 H 0.4091 0.0681 0.2545  1 O 1.14
20 H 0.6869 0.4543 0.7971  1 O 0.99
21 H 0.3131 0.5457 0.2029  1 O 0.99
22 Al 0.0000 0.0000 0.0000  6 F 1.84
23 O 0.2169 0.5150 0.1725  2 H 0.99
24 O 0.7831 0.4850 0.8275  2 H 0.99
25 F 0.4229 0.7235 0.5290  2 H 1.58-1.67
26 H 0.7455 0.5918 0.9310  1 O 1.13
27 H 0.1395 0.1263 0.6319  1 O 1.01
28 O 0.9835 0.2835 0.3269  2 H 0.99
29 H 0.1323 0.6212 0.1357  1 O 0.99
30 F 0.2760 0.4660 0.5736  2 H 1.56-1.69
31 F 0.2227 0.9236 0.0349  2 H 1.57-1.68
32 O 0.8181 0.7888 0.4761  3 H 1.01-1.13
33 H 0.3594 0.8670 0.3742  1 O 1.01
34 F 0.9665 0.7759 0.0746  2 H 1.56-1.68
35 O 0.0165 0.7165 0.6731  2 H 0.99
36 O 0.3178 0.9745 0.2894  2 H 1.01
37 Al 0.5000 0.5000 0.5000  6 F 1.84
38 H 0.0918 0.2455 0.4315  1 O 1.13
39 O 0.2881 0.3185 0.9763  2 H 1.01
40 O 0.1819 0.2112 0.5239  3 H 1.01-1.13
41 H 0.1222 0.6320 0.6368  1 O 0.99
42 O 0.4837 0.8270 0.7845  2 H 0.99
43 H 0.6270 0.6387 0.1309  1 O 1.01
44 H 0.2115 0.3127 0.5498  1 O 1.01
45 H 0.6406 0.1330 0.6258  1 O 1.01
46 H 0.4539 0.7955 0.6888  1 O 0.99
47 F 0.4727 0.5754 0.2748  2 H 1.57-1.66
48 O 0.7119 0.6815 0.0237  2 H 1.01
49 H 0.9522 0.1879 0.2967  1 O 0.99
50 O 0.6822 0.0255 0.7106  2 H 1.01
51 F 0.0783 0.9717 0.7761  2 H 1.57-1.67
52 H 0.3769 0.8629 0.8688  1 O 0.99
53 H 0.8677 0.3788 0.8643  1 O 0.99
54 F 0.5771 0.2765 0.4710  2 H 1.58-1.67
55 H 0.8778 0.3680 0.3632  1 O 0.99
56 H 0.0478 0.8121 0.7033  1 O 0.99

DFT total energy ... -278.1 eV for the cell shown
Magnetization ... 0.00 μB per atom
Formation energy from the elements ... -1.790 eV/atom

***

Entry 2:
A geometry-optimized AlH2Pb3OF9 structure, computed with PBE.

Unit cell a=5.7273 b=5.9526 c=12.9155 alpha=98.76 beta=94.05 gamma=90.34
Last column: nearest neighbours and their distance in Å.
Fractional positions:
1 F 0.8536 0.7229 0.4471  1 Al 1.81, 1 H 1.89
2 F 0.9604 0.3610 0.3159  1 Al 1.81
3 F 0.0027 0.2452 0.9960  4 Pb 2.50-2.71
4 F 0.4821 0.5205 0.6666  1 H 1.75, 1 Al 1.85
5 Pb 0.3071 0.1158 0.3628  6 F 2.48-2.72, 2 O 2.69-2.73
6 F 0.3834 0.1322 0.7156  1 Al 1.86
7 F 0.7309 0.5053 0.1664  1 Al 1.87
8 Pb 0.2348 0.9507 0.8846  6 F 2.47-2.76
9 O 0.3416 0.7824 0.4870  2 H 0.98-0.99
10 H 0.8240 0.2571 0.5082  1 O 0.98
11 Pb 0.7236 0.4946 0.8810  5 F 2.41-2.63
12 H 0.4050 0.6569 0.4378  1 O 0.99
13 F 0.7015 0.8654 0.8278  2 Pb 2.41-2.48
14 F 0.1464 0.2771 0.5529  1 Al 1.81, 1 H 1.89
15 Pb 0.7652 0.0493 0.1154  6 F 2.47-2.76
16 F 0.4989 0.2400 0.9919  4 Pb 2.47-2.63
17 F 0.5179 0.4795 0.3334  1 H 1.75, 1 Al 1.85
18 F 0.0478 0.7726 0.2722  1 Al 1.84
19 F 0.2691 0.4947 0.8336  1 Al 1.87
20 F 0.9522 0.2274 0.7278  1 Al 1.84
21 Al 0.7943 0.6175 0.3090  6 F 1.81-1.87
22 O 0.6584 0.2176 0.5130  2 H 0.98-0.99
23 Pb 0.6929 0.8842 0.6372  6 F 2.48-2.72, 2 O 2.69-2.73
24 H 0.1760 0.7429 0.4918  1 O 0.98
25 F 0.0396 0.6390 0.6841  1 Al 1.81
26 F 0.9973 0.7548 0.0040  4 Pb 2.50-2.71
27 Al 0.2057 0.3825 0.6910  6 F 1.81-1.87
28 F 0.2985 0.1346 0.1722  2 Pb 2.41-2.48
29 F 0.6166 0.8678 0.2844  1 Al 1.86
30 Pb 0.2764 0.5054 0.1190  5 F 2.41-2.63
31 F 0.5011 0.7600 0.0081  4 Pb 2.47-2.63
32 H 0.5950 0.3431 0.5622  1 O 0.99

DFT total energy ... -164.7 eV for the cell shown
Magnetization ... 0.00 μB per atom
Formation energy from the elements ... -2.710 eV/atom

***

Entry 3:
A geometry-optimized AlH10SO9F structure, computed with PBE.

Unit cell a=10.8967 b=11.3289 c=13.1088 alpha=90.00 beta=90.00 gamma=90.00
Last column: nearest neighbours and their distance in Å.
Fractional positions:
1 H 0.0364 0.6226 0.1650  1 O 1.00
2 O 0.6311 0.3315 0.7431  1 S 1.50, 1 H 1.65
3 H 0.4636 0.6226 0.6650  1 O 1.00
4 H 0.3482 0.9291 0.3598  1 O 1.00
5 O 0.9407 0.6538 0.5354  2 H 0.99-1.01
6 H 0.8992 0.4407 0.3281  1 O 1.00
7 H 0.6350 0.3998 0.1357  1 O 1.01
8 O 0.9407 0.1538 0.9646  2 H 0.99-1.01
9 H 0.6008 0.4407 0.8281  1 O 1.00
10 H 0.2198 0.5586 0.4635  1 O 1.01
11 O 0.6342 0.9283 0.4369  2 H 1.01
12 H 0.9702 0.7256 0.5003  1 O 0.99
13 O 0.1441 0.6592 0.2503  1 S 1.49, 1 H 1.64
14 O 0.4407 0.8462 0.5354  2 H 0.99-1.01
15 H 0.8958 0.6551 0.8855  1 O 1.01
16 Al 0.0000 0.0000 0.5000  2 F 1.77, 4 O 1.91-1.98
17 O 0.9135 0.0106 0.1268  2 H 1.00
18 H 0.6343 0.6711 0.0775  1 O 1.01
19 O 0.2446 0.3224 0.1642  1 S 1.50
20 O 0.7557 0.1952 0.3508  1 S 1.49, 2 H 1.64-1.65
21 O 0.6342 0.4283 0.0631  2 H 1.01
22 O 0.5865 0.0106 0.6268  2 H 1.00
23 O 0.0865 0.4894 0.6268  2 H 1.00
24 H 0.8482 0.5709 0.3598  1 O 1.00
25 H 0.6350 0.8998 0.3643  1 O 1.01
26 H 0.6103 0.6309 0.6332  1 O 1.00
27 H 0.3992 0.5593 0.1719  1 O 1.00
28 H 0.6518 0.0709 0.6402  1 O 1.00
29 O 0.1311 0.6685 0.7569  1 S 1.50, 1 H 1.65
30 H 0.1350 0.6002 0.3643  1 O 1.01
31 O 0.5196 0.1425 0.0853  2 H 1.01
32 O 0.4804 0.3575 0.5853  2 H 1.01
33 S 0.2531 0.2388 0.2522  4 O 1.49-1.50
34 O 0.0865 0.9894 0.8732  2 H 1.00
35 H 0.7198 0.4414 0.0365  1 O 1.01
36 O 0.5293 0.5917 0.6194  2 H 1.00
37 O 0.1342 0.0717 0.0631  2 H 1.01
38 H 0.1103 0.3691 0.8668  1 O 1.00
39 O 0.9707 0.5917 0.1194  2 H 1.00
40 H 0.3650 0.1002 0.6357  1 O 1.01
41 O 0.4135 0.4894 0.1268  2 H 1.00
42 F 0.1591 0.5282 0.0097  1 H 1.49
43 H 0.6103 0.1309 0.8668  1 O 1.00
44 Al 0.0000 0.5000 0.5000  6 O 1.87-1.92
45 H 0.7802 0.9414 0.9635  1 O 1.01
46 F 0.6591 0.9718 0.0097  1 H 1.49
47 O 0.3559 0.1592 0.7497  1 S 1.49, 1 H 1.64
48 H 0.8650 0.3998 0.6357  1 O 1.01
49 O 0.9707 0.0917 0.3806  2 H 1.00
50 O 0.0593 0.8462 0.0354  2 H 0.99-1.01
51 O 0.0196 0.8575 0.4147  2 H 1.01
52 O 0.2557 0.3048 0.3508  1 S 1.49, 2 H 1.64-1.65
53 H 0.8958 0.1551 0.6145  1 O 1.01
54 O 0.5293 0.0917 0.8806  2 H 1.00
55 O 0.8658 0.4283 0.5631  2 H 1.01
56 H 0.6042 0.6551 0.3855  1 O 1.01
57 O 0.7446 0.6776 0.3358  1 S 1.50
58 F 0.1591 0.0282 0.4903  1 H 1.49
59 H 0.8482 0.0709 0.1402  1 O 1.00
60 H 0.0407 0.1504 0.6433  1 O 1.01
61 H 0.5298 0.7256 0.0003  1 O 0.99
62 Al 0.0000 0.5000 0.0000  2 F 1.77, 4 O 1.91-1.98
63 O 0.5593 0.1538 0.4646  2 H 0.99-1.01
64 H 0.3482 0.4291 0.1402  1 O 1.00
65 H 0.8897 0.6309 0.1332  1 O 1.00
66 O 0.2446 0.8224 0.3358  1 S 1.50
67 Al 0.5000 0.5000 0.5000  2 F 1.77, 4 O 1.91-1.98
68 O 0.3689 0.6685 0.2569  1 S 1.50, 1 H 1.65
69 H 0.3992 0.0593 0.3281  1 O 1.00
70 F 0.8409 0.4718 0.9903  1 H 1.49
71 O 0.5593 0.6538 0.0354  2 H 0.99-1.01
72 O 0.7557 0.6952 0.1492  1 S 1.49, 2 H 1.64-1.65
73 H 0.8897 0.1309 0.3668  1 O 1.00
74 O 0.7443 0.1952 0.8508  1 S 1.49, 2 H 1.64-1.65
75 H 0.1518 0.4291 0.6402  1 O 1.00
76 O 0.8689 0.3315 0.2431  1 S 1.50, 1 H 1.65
77 H 0.0298 0.2744 0.4997  1 O 0.99
78 O 0.1311 0.1685 0.7431  1 S 1.50, 1 H 1.65
79 H 0.3897 0.3691 0.3668  1 O 1.00
80 H 0.3657 0.3289 0.9225  1 O 1.01
81 H 0.9593 0.8496 0.3567  1 O 1.01
82 H 0.9702 0.2256 0.9997  1 O 0.99
83 H 0.6343 0.1711 0.4225  1 O 1.01
84 H 0.3958 0.8449 0.8855  1 O 1.01
85 H 0.8657 0.6711 0.5775  1 O 1.01
86 F 0.3409 0.5282 0.5097  1 H 1.49
87 S 0.7469 0.2612 0.7522  4 O 1.49-1.50
88 H 0.2802 0.0586 0.5365  1 O 1.01
89 H 0.1350 0.1002 0.1357  1 O 1.01
90 O 0.3658 0.5717 0.9369  2 H 1.01
91 H 0.4702 0.2744 0.9997  1 O 0.99
92 O 0.4707 0.9083 0.1194  2 H 1.00
93 H 0.9636 0.3774 0.8350  1 O 1.00
94 O 0.2554 0.8224 0.8358  1 S 1.50
95 S 0.2469 0.7388 0.7478  4 O 1.49-1.50
96 O 0.8658 0.9283 0.9369  2 H 1.01
97 H 0.1008 0.5593 0.6719  1 O 1.00
98 H 0.5407 0.8496 0.8567  1 O 1.01
99 F 0.8409 0.9718 0.5097  1 H 1.49
100 H 0.3897 0.8691 0.1332  1 O 1.00
101 Al 0.5000 0.5000 0.0000  6 O 1.87-1.92
102 O 0.0293 0.9083 0.6194  2 H 1.00
103 O 0.0593 0.3462 0.4646  2 H 0.99-1.01
104 H 0.5298 0.2256 0.4997  1 O 0.99
105 O 0.7443 0.6952 0.6492  1 S 1.49, 2 H 1.64-1.65
106 H 0.7802 0.4414 0.5365  1 O 1.01
107 H 0.2198 0.0586 0.0365  1 O 1.01
108 H 0.1518 0.9291 0.8598  1 O 1.00
109 H 0.5364 0.3774 0.3350  1 O 1.00
110 H 0.8657 0.1711 0.9225  1 O 1.01
111 O 0.4135 0.9894 0.3732  2 H 1.00
112 O 0.6311 0.8315 0.7569  1 S 1.50, 1 H 1.65
113 O 0.7554 0.6776 0.8358  1 S 1.50
114 H 0.8992 0.9407 0.1719  1 O 1.00
115 H 0.5407 0.3496 0.6433  1 O 1.01
116 O 0.3559 0.6592 0.7503  1 S 1.49, 1 H 1.64
117 H 0.4593 0.6504 0.3567  1 O 1.01
118 O 0.6441 0.3408 0.2497  1 S 1.49, 1 H 1.64
119 O 0.7446 0.1776 0.1642  1 S 1.50
120 H 0.3650 0.6002 0.8643  1 O 1.01
121 O 0.9135 0.5106 0.3732  2 H 1.00
122 O 0.3658 0.0717 0.5631  2 H 1.01
123 O 0.1441 0.1592 0.2497  1 S 1.49, 1 H 1.64
124 H 0.0364 0.1226 0.3350  1 O 1.00
125 H 0.3958 0.3449 0.6145  1 O 1.01
126 S 0.7531 0.2612 0.2522  4 O 1.49-1.50
127 S 0.2469 0.2388 0.7522  4 O 1.49-1.50
128 O 0.8559 0.3408 0.7497  1 S 1.49, 1 H 1.64
129 O 0.8559 0.8408 0.7503  1 S 1.49, 1 H 1.64
130 S 0.7469 0.7612 0.7478  4 O 1.49-1.50
131 H 0.1042 0.8449 0.3855  1 O 1.01
132 H 0.1103 0.8691 0.6332  1 O 1.00
133 O 0.1342 0.5717 0.4369  2 H 1.01
134 O 0.4804 0.8575 0.9147  2 H 1.01
135 H 0.4593 0.1504 0.1433  1 O 1.01
136 O 0.0293 0.4083 0.8806  2 H 1.00
137 O 0.2443 0.8048 0.6492  1 S 1.49, 2 H 1.64-1.65
138 H 0.3657 0.8289 0.5775  1 O 1.01
139 H 0.5364 0.8774 0.1650  1 O 1.00
140 H 0.1008 0.0593 0.8281  1 O 1.00
141 O 0.3689 0.1685 0.2431  1 S 1.50, 1 H 1.65
142 H 0.9636 0.8774 0.6650  1 O 1.00
143 S 0.7531 0.7612 0.2478  4 O 1.49-1.50
144 O 0.7554 0.1776 0.6642  1 S 1.50
145 Al 0.5000 0.0000 0.5000  6 O 1.87-1.92
146 H 0.7198 0.9414 0.4635  1 O 1.01
147 Al 0.0000 0.0000 0.0000  6 O 1.87-1.92
148 H 0.1343 0.3289 0.4225  1 O 1.01
149 O 0.2557 0.8048 0.1492  1 S 1.49, 2 H 1.64-1.65
150 H 0.4636 0.1226 0.8350  1 O 1.00
151 Al 0.5000 0.0000 0.0000  2 F 1.77, 4 O 1.91-1.98
152 H 0.8650 0.8998 0.8643  1 O 1.01
153 O 0.2443 0.3048 0.8508  1 S 1.49, 2 H 1.64-1.65
154 O 0.8689 0.8315 0.2569  1 S 1.50, 1 H 1.65
155 H 0.0298 0.7744 0.0003  1 O 0.99
156 O 0.4707 0.4083 0.3806  2 H 1.00
157 O 0.5196 0.6425 0.4147  2 H 1.01
158 S 0.2531 0.7388 0.2478  4 O 1.49-1.50
159 H 0.6008 0.9407 0.6719  1 O 1.00
160 O 0.5865 0.5106 0.8732  2 H 1.00
161 O 0.9804 0.1425 0.5853  2 H 1.01
162 H 0.2802 0.5586 0.9635  1 O 1.01
163 F 0.6591 0.4718 0.4903  1 H 1.49
164 H 0.1343 0.8289 0.0775  1 O 1.01
165 O 0.6441 0.8408 0.2503  1 S 1.49, 1 H 1.64
166 O 0.0196 0.3575 0.0853  2 H 1.01
167 O 0.9804 0.6425 0.9147  2 H 1.01
168 H 0.0407 0.6504 0.8567  1 O 1.01
169 H 0.9593 0.3496 0.1433  1 O 1.01
170 H 0.6518 0.5709 0.8598  1 O 1.00
171 H 0.4702 0.7744 0.5003  1 O 0.99
172 O 0.4407 0.3462 0.9646  2 H 0.99-1.01
173 F 0.3409 0.0282 0.9903  1 H 1.49
174 O 0.2554 0.3224 0.6642  1 S 1.50
175 H 0.6042 0.1551 0.1145  1 O 1.01
176 H 0.1042 0.3449 0.1145  1 O 1.01

DFT total energy ... -957.0 eV for the cell shown
Magnetization ... 0.00 μB per atom
Formation energy from the elements ... -1.728 eV/atom

***

Entry 4:
A geometry-optimized AlZnH4O2F5 structure, computed with PBE.

Unit cell a=7.2073 b=7.2073 c=7.2073 alpha=126.44 beta=119.27 gamma=85.24
Last column: nearest neighbours and their distance in Å.
Fractional positions:
1 Al 0.0000 0.0000 0.5000  6 F 1.82-1.86
2 H 0.0179 0.7849 0.9837  1 O 0.98
3 F 0.6550 0.3163 0.2278  1 H 1.78, 1 Al 1.82
4 F 0.2500 0.0579 0.8079  2 Al 1.86
5 F 0.7500 0.9421 0.1921  2 Al 1.86
6 H 0.9821 0.2151 0.0163  1 O 0.98
7 O 0.4304 0.6389 0.2085  2 H 0.98
8 Zn 0.0000 0.5000 0.5000  2 O 2.03, 4 F 2.12
9 Zn 0.5000 0.0000 0.5000  2 O 2.03, 4 F 2.12
10 H 0.5179 0.5343 0.2331  1 O 0.98
11 F 0.5885 0.9272 0.7722  1 H 1.78, 1 Al 1.82
12 O 0.5696 0.3611 0.7915  2 H 0.98
13 F 0.0885 0.3163 0.6613  1 H 1.78, 1 Al 1.82
14 F 0.1550 0.9272 0.3387  1 H 1.78, 1 Al 1.82
15 H 0.1988 0.2151 0.2331  1 O 0.98
16 Al 0.5000 0.0000 0.0000  6 F 1.82-1.86
17 F 0.3450 0.6837 0.7722  1 H 1.78, 1 Al 1.82
18 F 0.9115 0.6837 0.3387  1 H 1.78, 1 Al 1.82
19 F 0.8450 0.0728 0.6613  1 H 1.78, 1 Al 1.82
20 H 0.3012 0.5343 0.0163  1 O 0.98
21 O 0.0696 0.2782 0.2085  2 H 0.98
22 H 0.8012 0.7849 0.7669  1 O 0.98
23 O 0.9304 0.7218 0.7915  2 H 0.98
24 H 0.6988 0.4657 0.9837  1 O 0.98
25 H 0.4821 0.4657 0.7669  1 O 0.98
26 F 0.4115 0.0728 0.2278  1 H 1.78, 1 Al 1.82

DFT total energy ... -130.6 eV for the cell shown
Magnetization ... 0.00 μB per atom
Formation energy from the elements ... -2.379 eV/atom

***

| no. | calculated density (g cm⁻³) |
| --- | --- |
| 1 | 1.7 |
| 2 | 6.4 |
| 3 | 1.9 |
| 4 | 3.0 |